1.
The following is a r2SCAN calculation of CuW3Cl7 after structural relaxation, from Materials Project.

Cell lengths 12.9482, 12.9482, 12.9482 Å; angles 90.00, 90.00, 90.00 degrees
Space group Pn-3 (No. 201, origin choice 2)
Symmetry-distinct sites (fractional):
Cu  0.0598  0.0598  0.0598
W  0.0249  0.5308  0.8632
Cl  0.0617  0.5775  0.6818
Cl  0.0770  0.6267  0.1846
Cl  0.1377  0.1377  0.3623

Computed properties:
Theoretical density ... 5.28 g cm⁻³
Energy of formation from the pure elements ... -830 kJ/mol of formula units
VASP energy ... -19.69 eV/atom

2.
The following is a r2SCAN calculation of ZrCu2Cl6 after structural relaxation, from Materials Project.

Cell lengths 6.0579, 10.9905, 11.1241 Å; angles 61.79, 89.12, 89.81 degrees
Space group P1 (No. 1)
Symmetry-distinct sites (fractional):
Zr  0.0000  0.0000  0.0000
Zr  0.0343  0.3350  0.3266
Zr  0.5307  0.6709  0.6628
Cu  0.1234  0.7707  0.7496
Cu  0.4391  0.0655  0.0645
Cu  0.4403  0.4246  0.4240
Cu  0.4484  0.1589  0.4236
Cu  0.5960  0.9141  0.9143
Cu  0.9295  0.5760  0.5698
Cl  0.2355  0.8906  0.8819
Cl  0.2397  0.8837  0.2038
Cl  0.2416  0.2099  0.8894
Cl  0.2571  0.2256  0.5576
Cl  0.2705  0.5441  0.2268
Cl  0.2752  0.2219  0.2274
Cl  0.2823  0.5652  0.8667
Cl  0.2991  0.8896  0.5478
Cl  0.3013  0.5616  0.5507
Cl  0.7504  0.7853  0.7712
Cl  0.7599  0.4613  0.7736
Cl  0.7654  0.7801  0.4526
Cl  0.7721  0.7843  0.1054
Cl  0.7729  0.1123  0.7891
Cl  0.7763  0.1061  0.1123
Cl  0.7913  0.4276  0.1418
Cl  0.8056  0.4440  0.4496
Cl  0.8083  0.1178  0.4502

Computed properties:
Theoretical density ... 3.29 g cm⁻³
Energy of formation from the pure elements ... -1175 kJ/mol of formula units
VASP energy ... -10.39 eV/atom

3.
The following is a r2SCAN calculation of Na3DyCl6 after structural relaxation, from Materials Project.

Cell lengths 6.7434, 7.2537, 12.1017 Å; angles 90.00, 123.14, 90.00 degrees
Space group P2_1/c (No. 14)
Symmetry-distinct sites (fractional):
Na  0.0000  0.0000  0.0000
Na  0.2107  0.0872  0.7459
Dy  0.5000  0.0000  0.5000
Cl  0.1124  0.1810  0.4291
Cl  0.2512  0.6933  0.4217
Cl  0.4058  0.0607  0.2597

Computed properties:
Theoretical density ... 2.98 g cm⁻³
Energy of formation from the pure elements ... -2160 kJ/mol of formula units
VASP energy ... -10.20 eV/atom

4.
The following is a r2SCAN calculation of DyClO after structural relaxation, from Materials Project.

Cell lengths 3.7892, 3.7892, 28.3672 Å; angles 90.00, 90.00, 120.00 degrees
Space group R-3m (No. 166, hexagonal axes)
Symmetry-distinct sites (fractional):
Dy  0.0000  0.0000  0.2168
Cl  0.0000  0.0000  0.3890
O  0.0000  0.0000  0.1369

Computed properties:
Theoretical density ... 6.04 g cm⁻³
Energy of formation from the pure elements ... -996 kJ/mol of formula units
VASP energy ... -18.14 eV/atom

5.
The following is a r2SCAN calculation of RbDy2Cl7 after structural relaxation, from Materials Project.

Cell lengths 13.1038, 6.9480, 12.6153 Å; angles 90.00, 90.00, 90.00 degrees
Space group Pnma (No. 62)
Symmetry-distinct sites (fractional):
Rb  0.0402  0.2500  0.1961
Dy  0.2380  0.2500  0.5398
Dy  0.2482  0.2500  0.8429
Cl  0.1063  0.7500  0.1888
Cl  0.1216  0.0105  0.4217
Cl  0.1297  0.0098  0.9605
Cl  0.1741  0.0078  0.6929

Computed properties:
Theoretical density ... 3.81 g cm⁻³
Energy of formation from the pure elements ... -2428 kJ/mol of formula units
VASP energy ... -14.61 eV/atom

6.
The following is a r2SCAN calculation of KEr2Cl7 after structural relaxation, from Materials Project.

Cell lengths 6.8430, 12.4761, 12.8149 Å; angles 90.00, 90.42, 90.00 degrees
Space group P2_1/c (No. 14)
Symmetry-distinct sites (fractional):
K  0.2237  0.2027  0.0375
Er  0.2284  0.5376  0.2380
Er  0.2732  0.6599  0.7483
Cl  0.0045  0.7020  0.1740
Cl  0.0205  0.5742  0.8811
Cl  0.0512  0.5280  0.6311
Cl  0.2534  0.6862  0.3960
Cl  0.4592  0.0875  0.6192
Cl  0.4677  0.0566  0.8732
Cl  0.4905  0.6792  0.1738

Computed properties:
Theoretical density ... 3.78 g cm⁻³
Energy of formation from the pure elements ... -2399 kJ/mol of formula units
VASP energy ... -14.18 eV/atom

7.
The following is a r2SCAN calculation of Li3ErCl6 after structural relaxation, from Materials Project.

Cell lengths 11.0096, 11.0096, 6.0240 Å; angles 90.00, 90.00, 120.00 degrees
Space group P321 (No. 150)
Symmetry-distinct sites (fractional):
Li  0.0000  0.3436  0.0000
Li  0.0000  0.6621  0.0000
Li  0.0000  0.6793  0.5000
Er  0.0000  0.0000  0.0000
Er  0.3333  0.6667  0.5045
Cl  0.1072  0.5612  0.7515
Cl  0.1140  0.8840  0.7677
Cl  0.2141  0.7739  0.2608

Computed properties:
Theoretical density ... 3.16 g cm⁻³
Energy of formation from the pure elements ... -2139 kJ/mol of formula units
VASP energy ... -10.02 eV/atom

8.
The following is a r2SCAN calculation of NaErCl4 after structural relaxation, from Materials Project.

Cell lengths 6.3052, 7.6011, 6.7236 Å; angles 90.00, 92.21, 90.00 degrees
Space group P2/c (No. 13)
Symmetry-distinct sites (fractional):
Na  0.0000  0.1445  0.2500
Er  0.5000  0.3438  0.7500
Cl  0.2454  0.1234  0.5936
Cl  0.2744  0.3941  0.0671

Computed properties:
Theoretical density ... 3.42 g cm⁻³
Energy of formation from the pure elements ... -1373 kJ/mol of formula units
VASP energy ... -12.72 eV/atom

9.
The following is a r2SCAN calculation of Rb3ErCl6 after structural relaxation, from Materials Project.

Cell lengths 25.8062, 7.8960, 12.6989 Å; angles 90.00, 99.53, 90.00 degrees
Space group C2/c (No. 15)
Symmetry-distinct sites (fractional):
Rb  0.0500  0.2484  0.4334
Rb  0.1543  0.1865  0.1448
Rb  0.1618  0.3135  0.7999
Er  0.0000  0.2843  0.7500
Er  0.2500  0.2500  0.5000
Cl  0.0581  0.2756  0.9362
Cl  0.0586  0.0553  0.6790
Cl  0.0590  0.4705  0.1957
Cl  0.1723  0.0506  0.4188
Cl  0.1769  0.4598  0.5342
Cl  0.2496  0.1100  0.6873

Computed properties:
Theoretical density ... 3.31 g cm⁻³
Energy of formation from the pure elements ... -2300 kJ/mol of formula units
VASP energy ... -13.65 eV/atom

10.
The following is a r2SCAN calculation of RbEr2Cl7 after structural relaxation, from Materials Project.

Cell lengths 13.0582, 6.8860, 12.5073 Å; angles 90.00, 90.00, 90.00 degrees
Space group Pnma (No. 62)
Symmetry-distinct sites (fractional):
Rb  0.0414  0.2500  0.1952
Er  0.2376  0.2500  0.5400
Er  0.2490  0.2500  0.8427
Cl  0.1062  0.7500  0.1887
Cl  0.1217  0.0100  0.4221
Cl  0.1313  0.0098  0.9605
Cl  0.1751  0.0078  0.6930

Computed properties:
Theoretical density ... 3.95 g cm⁻³
Energy of formation from the pure elements ... -2414 kJ/mol of formula units
VASP energy ... -14.99 eV/atom

11.
The following is a r2SCAN calculation of ErSCl after structural relaxation, from Materials Project.

Cell lengths 3.9367, 5.3090, 7.8401 Å; angles 90.00, 90.00, 90.00 degrees
Space group Pmmn (No. 59, origin choice 2)
Symmetry-distinct sites (fractional):
Er  0.2500  0.2500  0.1451
S  0.2500  0.7500  0.0937
Cl  0.2500  0.7500  0.6324

Computed properties:
Theoretical density ... 4.76 g cm⁻³
Energy of formation from the pure elements ... -711 kJ/mol of formula units
VASP energy ... -18.50 eV/atom

no.,total moment (μB per formula unit)
1,0.000
2,0.000
3,0.000
4,0.000
5,0.000
6,0.000
7,0.000
8,0.000
9,0.000
10,0.000
11,0.000